No. 1
Here is an optimized crystal structure of FeAs2H18C6I3 from the Materials Project. Energies are from PBE.

Summary:
MP2020-corrected energy in eV/atom: -4.824
Total magnetization in Bohr magnetons per cell: 20.2

```
data_FeAs2H18C6I3
_cell_length_a 11.2160
_cell_length_b 12.1746
_cell_length_c 15.8985
_cell_angle_alpha 90.00
_cell_angle_beta 90.00
_cell_angle_gamma 90.00
_symmetry_space_group_name_H-M 'P 1'
_symmetry_Int_Tables_number 1
_symmetry_space_group_name_Hall 'P 1'
loop_
_atom_site_label
_atom_site_type_symbol
_atom_site_fract_x
_atom_site_fract_y
_atom_site_fract_z
Fe1 Fe 0.1989 0.2500 0.0278
Fe2 Fe 0.3011 0.7500 0.5278
Fe3 Fe 0.6989 0.2500 0.4722
Fe4 Fe 0.8011 0.7500 0.9722
As1 As 0.0178 0.2500 0.1351
As2 As 0.1204 0.7500 0.4170
As3 As 0.3796 0.2500 0.9170
As4 As 0.4822 0.7500 0.6351
As5 As 0.5178 0.2500 0.3649
As6 As 0.6204 0.7500 0.0830
As7 As 0.8796 0.2500 0.5830
As8 As 0.9822 0.7500 0.8649
H1 H 0.0155 0.7500 0.7040
H2 H 0.0389 0.5485 0.8695
H3 H 0.0389 0.9515 0.8695
H4 H 0.0406 0.6217 0.3004
H5 H 0.0406 0.8783 0.3004
H6 H 0.0545 0.1765 0.5002
H7 H 0.0545 0.3235 0.5002
H8 H 0.1118 0.2500 0.5889
H9 H 0.1168 0.1765 0.2662
H10 H 0.1168 0.3235 0.2662
H11 H 0.1236 0.5489 0.3794
H12 H 0.1236 0.9511 0.3794
H13 H 0.1366 0.6280 0.9335
H14 H 0.1366 0.8720 0.9335
H15 H 0.1567 0.6256 0.8211
H16 H 0.1567 0.8744 0.8211
H17 H 0.2007 0.6268 0.3015
H18 H 0.2007 0.8732 0.3015
H19 H 0.2993 0.1268 0.8015
H20 H 0.2993 0.3732 0.8015
H21 H 0.3433 0.1256 0.3211
H22 H 0.3433 0.3744 0.3211
H23 H 0.3634 0.1280 0.4335
H24 H 0.3634 0.3720 0.4335
H25 H 0.3764 0.0489 0.8794
H26 H 0.3764 0.4511 0.8794
H27 H 0.3832 0.6765 0.7662
H28 H 0.3832 0.8235 0.7662
H29 H 0.3882 0.7500 0.0889
H30 H 0.4455 0.6765 0.0002
H31 H 0.4455 0.8235 0.0002
H32 H 0.4594 0.1217 0.8004
H33 H 0.4594 0.3783 0.8004
H34 H 0.4611 0.0485 0.3695
H35 H 0.4611 0.4515 0.3695
H36 H 0.4845 0.2500 0.2040
H37 H 0.5155 0.7500 0.7960
H38 H 0.5389 0.5485 0.6305
H39 H 0.5389 0.9515 0.6305
H40 H 0.5406 0.6217 0.1996
H41 H 0.5406 0.8783 0.1996
H42 H 0.5545 0.1765 0.9998
H43 H 0.5545 0.3235 0.9998
H44 H 0.6118 0.2500 0.9111
H45 H 0.6168 0.1765 0.2338
H46 H 0.6168 0.3235 0.2338
H47 H 0.6236 0.5489 0.1206
H48 H 0.6236 0.9511 0.1206
H49 H 0.6366 0.6280 0.5665
H50 H 0.6366 0.8720 0.5665
H51 H 0.6567 0.6256 0.6789
H52 H 0.6567 0.8744 0.6789
H53 H 0.7007 0.6268 0.1985
H54 H 0.7007 0.8732 0.1985
H55 H 0.7993 0.1268 0.6985
H56 H 0.7993 0.3732 0.6985
H57 H 0.8433 0.1256 0.1789
H58 H 0.8433 0.3744 0.1789
H59 H 0.8634 0.1280 0.0665
H60 H 0.8634 0.3720 0.0665
H61 H 0.8764 0.0489 0.6206
H62 H 0.8764 0.4511 0.6206
H63 H 0.8832 0.6765 0.7338
H64 H 0.8832 0.8235 0.7338
H65 H 0.8882 0.7500 0.4111
H66 H 0.9455 0.6765 0.4998
H67 H 0.9455 0.8235 0.4998
H68 H 0.9594 0.1217 0.6996
H69 H 0.9594 0.3783 0.6996
H70 H 0.9611 0.0485 0.1305
H71 H 0.9611 0.4515 0.1305
H72 H 0.9845 0.2500 0.2960
C1 C 0.0444 0.2500 0.5390
C2 C 0.0631 0.2500 0.2548
C3 C 0.0914 0.6239 0.8725
C4 C 0.0914 0.8761 0.8725
C5 C 0.1203 0.6228 0.3405
C6 C 0.1203 0.8772 0.3405
C7 C 0.3797 0.1228 0.8405
C8 C 0.3797 0.3772 0.8405
C9 C 0.4086 0.1239 0.3725
C10 C 0.4086 0.3761 0.3725
C11 C 0.4369 0.7500 0.7548
C12 C 0.4556 0.7500 0.0390
C13 C 0.5444 0.2500 0.9610
C14 C 0.5631 0.2500 0.2452
C15 C 0.5914 0.6239 0.6275
C16 C 0.5914 0.8761 0.6275
C17 C 0.6203 0.6228 0.1595
C18 C 0.6203 0.8772 0.1595
C19 C 0.8797 0.1228 0.6595
C20 C 0.8797 0.3772 0.6595
C21 C 0.9086 0.1239 0.1275
C22 C 0.9086 0.3761 0.1275
C23 C 0.9369 0.7500 0.7452
C24 C 0.9556 0.7500 0.4610
I1 I 0.0501 0.2500 0.9041
I2 I 0.2264 0.5681 0.5925
I3 I 0.2264 0.9319 0.5925
I4 I 0.2736 0.0681 0.0925
I5 I 0.2736 0.4319 0.0925
I6 I 0.4499 0.7500 0.4041
I7 I 0.5501 0.2500 0.5959
I8 I 0.7264 0.5681 0.9075
I9 I 0.7264 0.9319 0.9075
I10 I 0.7736 0.0681 0.4075
I11 I 0.7736 0.4319 0.4075
I12 I 0.9499 0.7500 0.0959
```

No. 2
Here is an optimized crystal structure of CdAg3 from the Materials Project. Energies are from PBE.

```
data_CdAg3
_cell_length_a 4.2169
_cell_length_b 4.2169
_cell_length_c 4.2169
_cell_angle_alpha 90.00
_cell_angle_beta 90.00
_cell_angle_gamma 90.00
_symmetry_space_group_name_H-M 'P 1'
_symmetry_Int_Tables_number 1
_symmetry_space_group_name_Hall 'P 1'
loop_
_atom_site_label
_atom_site_type_symbol
_atom_site_fract_x
_atom_site_fract_y
_atom_site_fract_z
Cd1 Cd 0.0000 0.0000 0.0000
Ag1 Ag 0.0000 0.5000 0.5000
Ag2 Ag 0.5000 0.0000 0.5000
Ag3 Ag 0.5000 0.5000 0.0000
```

no.,electronic total energy (eV/atom)
1,-4.786
2,-2.407